The following is a DFT calculation (PBE) of an optimized crystal structure of Mg149Hg.

Cell lengths 15.917, 15.917, 15.599 Å; angles 90.00, 90.00, 120.00 degrees
Fractional coordinates of all 150 atoms:
Mg (0.000, 0.000, 0.000)
Mg (0.000, 0.000, 0.333)
Mg (0.000, 0.000, 0.667)
Mg (0.000, 0.200, 0.000)
Mg (0.000, 0.200, 0.333)
Mg (0.000, 0.200, 0.667)
Mg (0.000, 0.400, 0.000)
Mg (0.000, 0.600, 0.000)
Mg (0.000, 0.800, 0.000)
Mg (0.000, 0.800, 0.333)
Mg (0.000, 0.800, 0.667)
Mg (0.001, 0.400, 0.334)
Mg (0.001, 0.400, 0.666)
Mg (0.001, 0.600, 0.334)
Mg (0.001, 0.600, 0.666)
Mg (0.133, 0.067, 0.167)
Mg (0.133, 0.067, 0.500)
Mg (0.133, 0.067, 0.833)
Mg (0.133, 0.267, 0.167)
Mg (0.133, 0.267, 0.833)
Mg (0.133, 0.867, 0.167)
Mg (0.133, 0.867, 0.833)
Mg (0.134, 0.267, 0.500)
Mg (0.134, 0.467, 0.167)
Mg (0.134, 0.467, 0.833)
Mg (0.134, 0.667, 0.167)
Mg (0.134, 0.667, 0.833)
Mg (0.134, 0.866, 0.500)
Mg (0.135, 0.468, 0.500)
Mg (0.135, 0.668, 0.500)
Mg (0.200, 0.000, 0.000)
Mg (0.200, 0.000, 0.333)
Mg (0.200, 0.000, 0.667)
Mg (0.200, 0.200, 0.000)
Mg (0.200, 0.200, 0.333)
Mg (0.200, 0.200, 0.667)
Mg (0.200, 0.399, 0.333)
Mg (0.200, 0.399, 0.667)
Mg (0.200, 0.400, 0.000)
Mg (0.200, 0.600, 0.000)
Mg (0.200, 0.800, 0.000)
Mg (0.200, 0.800, 0.333)
Mg (0.200, 0.800, 0.667)
Mg (0.201, 0.601, 0.334)
Mg (0.201, 0.601, 0.666)
Mg (0.332, 0.468, 0.500)
Mg (0.332, 0.865, 0.500)
Mg (0.333, 0.066, 0.500)
Mg (0.333, 0.067, 0.167)
Mg (0.333, 0.067, 0.833)
Mg (0.333, 0.267, 0.167)
Mg (0.333, 0.267, 0.500)
Mg (0.333, 0.267, 0.833)
Mg (0.333, 0.467, 0.167)
Mg (0.333, 0.467, 0.833)
Mg (0.333, 0.667, 0.167)
Mg (0.333, 0.667, 0.833)
Mg (0.333, 0.866, 0.167)
Mg (0.333, 0.866, 0.833)
Mg (0.399, 0.601, 0.334)
Mg (0.399, 0.601, 0.666)
Mg (0.399, 0.799, 0.334)
Mg (0.399, 0.799, 0.666)
Mg (0.400, 0.000, 0.000)
Mg (0.400, 0.200, 0.000)
Mg (0.400, 0.200, 0.334)
Mg (0.400, 0.200, 0.666)
Mg (0.400, 0.400, 0.000)
Mg (0.400, 0.400, 0.334)
Mg (0.400, 0.400, 0.666)
Mg (0.400, 0.600, 0.000)
Mg (0.400, 0.800, 0.000)
Mg (0.400, 0.999, 0.334)
Mg (0.400, 0.999, 0.666)
Mg (0.532, 0.668, 0.500)
Mg (0.532, 0.865, 0.500)
Mg (0.533, 0.065, 0.500)
Mg (0.533, 0.067, 0.167)
Mg (0.533, 0.067, 0.833)
Mg (0.533, 0.267, 0.167)
Mg (0.533, 0.267, 0.500)
Mg (0.533, 0.267, 0.833)
Mg (0.533, 0.467, 0.167)
Mg (0.533, 0.467, 0.500)
Mg (0.533, 0.467, 0.833)
Mg (0.533, 0.667, 0.167)
Mg (0.533, 0.667, 0.833)
Mg (0.533, 0.866, 0.167)
Mg (0.533, 0.866, 0.833)
Mg (0.600, 0.000, 0.000)
Mg (0.600, 0.200, 0.000)
Mg (0.600, 0.200, 0.334)
Mg (0.600, 0.200, 0.666)
Mg (0.600, 0.400, 0.000)
Mg (0.600, 0.400, 0.334)
Mg (0.600, 0.400, 0.666)
Mg (0.600, 0.600, 0.000)
Mg (0.600, 0.600, 0.334)
Mg (0.600, 0.600, 0.666)
Mg (0.600, 0.800, 0.000)
Mg (0.600, 0.999, 0.334)
Mg (0.600, 0.999, 0.666)
Mg (0.601, 0.800, 0.333)
Mg (0.601, 0.800, 0.667)
Mg (0.733, 0.066, 0.500)
Mg (0.733, 0.067, 0.167)
Mg (0.733, 0.067, 0.833)
Mg (0.733, 0.267, 0.167)
Mg (0.733, 0.267, 0.500)
Mg (0.733, 0.267, 0.833)
Mg (0.733, 0.467, 0.167)
Mg (0.733, 0.467, 0.500)
Mg (0.733, 0.467, 0.833)
Mg (0.733, 0.667, 0.167)
Mg (0.733, 0.667, 0.500)
Mg (0.733, 0.667, 0.833)
Mg (0.733, 0.866, 0.500)
Mg (0.733, 0.867, 0.167)
Mg (0.733, 0.867, 0.833)
Mg (0.800, 0.000, 0.000)
Mg (0.800, 0.000, 0.333)
Mg (0.800, 0.000, 0.667)
Mg (0.800, 0.200, 0.000)
Mg (0.800, 0.200, 0.334)
Mg (0.800, 0.200, 0.666)
Mg (0.800, 0.400, 0.000)
Mg (0.800, 0.400, 0.334)
Mg (0.800, 0.400, 0.666)
Mg (0.800, 0.600, 0.000)
Mg (0.800, 0.600, 0.334)
Mg (0.800, 0.600, 0.666)
Mg (0.800, 0.800, 0.000)
Mg (0.800, 0.800, 0.333)
Mg (0.800, 0.800, 0.667)
Mg (0.933, 0.067, 0.167)
Mg (0.933, 0.067, 0.500)
Mg (0.933, 0.067, 0.833)
Mg (0.933, 0.267, 0.167)
Mg (0.933, 0.267, 0.833)
Mg (0.933, 0.467, 0.167)
Mg (0.933, 0.467, 0.833)
Mg (0.933, 0.667, 0.167)
Mg (0.933, 0.667, 0.833)
Mg (0.933, 0.867, 0.167)
Mg (0.933, 0.867, 0.500)
Mg (0.933, 0.867, 0.833)
Mg (0.934, 0.267, 0.500)
Mg (0.934, 0.667, 0.500)
Mg (0.935, 0.467, 0.500)
Hg (0.333, 0.667, 0.500)

Output
Uncorrected energy: -0.0596 hartree per atom
Energy relative to the elements: -0.03 eV per atom